Entry 1:
Density functional theory data (meta-GGA r2SCAN) for Nd5Rh4 after structural relaxation.

a = 7.518 Å, b = 7.664 Å, c = 14.935 Å
α = 90.00°, β = 90.00°, γ = 90.00°
Fractional coordinates of all 36 atoms:
Nd1 0.988 0.180 0.592
Nd2 0.512 0.680 0.092
Nd3 0.177 0.485 0.750
Nd4 0.161 0.331 0.122
Nd5 0.839 0.669 0.622
Nd6 0.677 0.015 0.750
Nd7 0.339 0.831 0.622
Nd8 0.988 0.180 0.908
Nd9 0.339 0.831 0.878
Nd10 0.661 0.169 0.122
Nd11 0.012 0.820 0.092
Nd12 0.823 0.515 0.250
Nd13 0.488 0.320 0.908
Nd14 0.012 0.820 0.408
Nd15 0.488 0.320 0.592
Nd16 0.512 0.680 0.408
Nd17 0.323 0.985 0.250
Nd18 0.661 0.169 0.378
Nd19 0.839 0.669 0.878
Nd20 0.161 0.331 0.378
Rh1 0.301 0.144 0.750
Rh2 0.679 0.967 0.961
Rh3 0.321 0.033 0.461
Rh4 0.821 0.467 0.461
Rh5 0.179 0.533 0.539
Rh6 0.321 0.033 0.039
Rh7 0.679 0.967 0.539
Rh8 0.457 0.400 0.250
Rh9 0.543 0.600 0.750
Rh10 0.957 0.100 0.250
Rh11 0.821 0.467 0.039
Rh12 0.699 0.856 0.250
Rh13 0.043 0.900 0.750
Rh14 0.179 0.533 0.961
Rh15 0.199 0.644 0.250
Rh16 0.801 0.356 0.750

Properties
VASP energy, eV/atom: -27.77
SG: No. 62
Energy of formation, kJ per mole of atoms: -67.3
Total magnetic moment, μB/cell: 0.000
Mass density, g/cm3: 8.7

Entry 2:
Density functional theory data (meta-GGA r2SCAN) for DySnAu2 after structural relaxation.

a = 4.935 Å, b = 4.935 Å, c = 4.935 Å
α = 60.00°, β = 60.00°, γ = 60.00°
Fractional coordinates of all 4 atoms:
Au1 0.000 0.000 0.000
Au2 0.500 0.500 0.500
Dy1 0.250 0.250 0.250
Sn1 0.750 0.750 0.750

Properties
VASP energy, eV/atom: -40.20
SG: No. 225
Energy of formation, kJ per mole of atoms: -69.7
Total magnetic moment, μB/cell: 0.000
Mass density, g/cm3: 13.2

Entry 3:
Density functional theory data (meta-GGA r2SCAN) for As2S2O9 after structural relaxation.

a = 6.637 Å, b = 6.698 Å, c = 16.633 Å
α = 85.41°, β = 90.00°, γ = 90.00°
Fractional coordinates of all 52 atoms:
S1 0.724 0.353 0.432
S2 0.926 0.227 0.675
S3 0.074 0.773 0.325
S4 0.776 0.353 0.932
S5 0.574 0.227 0.175
S6 0.426 0.773 0.825
S7 0.224 0.647 0.068
S8 0.276 0.647 0.568
O1 0.602 0.674 0.783
O2 0.271 0.473 0.513
O3 0.729 0.527 0.487
O4 0.511 0.220 0.086
O5 0.400 0.801 0.528
O6 0.393 0.972 0.790
O7 0.229 0.473 0.013
O8 0.600 0.199 0.472
O9 0.077 0.706 0.588
O10 0.771 0.527 0.987
O11 0.240 0.636 0.323
O12 0.102 0.326 0.717
O13 0.398 0.326 0.217
O14 0.893 0.028 0.710
O15 0.923 0.294 0.412
O16 0.890 0.433 0.856
O17 0.382 0.168 0.624
O18 0.898 0.674 0.283
O19 0.390 0.567 0.644
O20 0.107 0.972 0.290
O21 0.760 0.364 0.677
O22 0.100 0.801 0.028
O23 0.423 0.706 0.088
O24 0.489 0.780 0.914
O25 0.882 0.832 0.876
O26 0.900 0.199 0.972
O27 0.110 0.567 0.144
O28 0.011 0.780 0.414
O29 0.607 0.028 0.210
O30 0.260 0.636 0.823
O31 0.610 0.433 0.356
O32 0.577 0.294 0.912
O33 0.740 0.364 0.177
O34 0.989 0.220 0.586
O35 0.118 0.168 0.124
O36 0.618 0.832 0.376
As1 0.613 0.682 0.294
As2 0.387 0.318 0.706
As3 0.113 0.318 0.206
As4 0.759 0.803 0.467
As5 0.741 0.803 0.967
As6 0.259 0.197 0.033
As7 0.887 0.682 0.794
As8 0.241 0.197 0.533

Properties
VASP energy, eV/atom: -8.92
SG: No. 14
Energy of formation, kJ per mole of atoms: -123.7
Total magnetic moment, μB/cell: 0.000
Mass density, g/cm3: 3.2

- The highest energy of formation belongs to which entry?
  Nd5Rh4